1.
Computed, not measured: BaFeF5 after structural relaxation at the GGA+U level of DFT.

Computed properties:
The total energy is -5.543 eV per atom. The symmetry is P2_1/c (14).

Cell lengths 8.0317, 9.6927, 14.6032 Å; angles 52.26, 90.00, 90.00 degrees
With the nearest neighbours (Å) after each atom.
Fractional positions:
Ba 0.2157 0.6689 0.6443  9 F 2.73-2.91
Ba 0.7157 0.3311 0.8557  9 F 2.73-2.91
Ba 0.7843 0.3311 0.3557  9 F 2.73-2.91
Ba 0.2843 0.6689 0.1443  9 F 2.73-2.91
Ba 0.2818 0.2266 0.5449  9 F 2.69-2.89
Ba 0.7818 0.7734 0.9551  9 F 2.69-2.89
Ba 0.7182 0.7734 0.4551  9 F 2.69-2.89
Ba 0.2182 0.2266 0.0449  9 F 2.69-2.89
Fe 0.2915 0.7888 0.8400  6 F 1.92-2.07
Fe 0.7915 0.2112 0.6600  6 F 1.92-2.07
Fe 0.7085 0.2112 0.1600  6 F 1.92-2.07
Fe 0.2085 0.7888 0.3400  6 F 1.92-2.07
Fe 0.1941 0.1913 0.8155  6 F 1.93-2.00
Fe 0.6941 0.8087 0.6845  6 F 1.93-2.00
Fe 0.8059 0.8087 0.1845  6 F 1.93-2.00
Fe 0.3059 0.1913 0.3155  6 F 1.93-2.00
F 0.9408 0.6552 0.1666  1 Fe 1.98
F 0.4408 0.3448 0.3334  1 Fe 1.98
F 0.0592 0.3448 0.8334  1 Fe 1.98
F 0.5592 0.6552 0.6666  1 Fe 1.98
F 0.4807 0.8720 0.7210  2 Fe 2.00-2.07
F 0.9807 0.1280 0.7790  2 Fe 2.00-2.07
F 0.5193 0.1280 0.2790  2 Fe 2.00-2.07
F 0.0193 0.8720 0.2210  2 Fe 2.00-2.07
F 0.4509 0.7303 0.9579  1 Fe 1.93
F 0.9509 0.2697 0.5421  1 Fe 1.93
F 0.5491 0.2697 0.0421  1 Fe 1.93
F 0.0491 0.7303 0.4579  1 Fe 1.93
F 0.3830 0.2832 0.8483  1 Fe 1.96
F 0.8830 0.7168 0.6517  1 Fe 1.96
F 0.6170 0.7168 0.1517  1 Fe 1.96
F 0.1170 0.2832 0.3483  1 Fe 1.96
F 0.1955 0.0388 0.2863  2 Fe 1.98-2.04
F 0.6955 0.9612 0.2137  2 Fe 1.98-2.04
F 0.8045 0.9612 0.7137  2 Fe 1.98-2.04
F 0.3045 0.0388 0.7863  2 Fe 1.98-2.04
F 0.2708 0.3779 0.1527  1 Fe 1.93
F 0.7708 0.6221 0.3473  1 Fe 1.93
F 0.7292 0.6221 0.8473  1 Fe 1.93
F 0.2292 0.3779 0.6527  1 Fe 1.93
F 0.3423 0.8885 0.2027  1 Fe 1.93
F 0.8423 0.1115 0.2973  1 Fe 1.93
F 0.6577 0.1115 0.7973  1 Fe 1.93
F 0.1577 0.8885 0.7027  1 Fe 1.93
F 0.3863 0.7314 0.4471  1 Fe 1.93
F 0.8863 0.2686 0.0529  1 Fe 1.93
F 0.6137 0.2686 0.5529  1 Fe 1.93
F 0.1137 0.7314 0.9471  1 Fe 1.93
F 0.2180 0.5683 0.3671  1 Fe 1.92
F 0.7180 0.4317 0.1329  1 Fe 1.92
F 0.7820 0.4317 0.6329  1 Fe 1.92
F 0.2820 0.5683 0.8671  1 Fe 1.92
F 0.6876 0.9939 0.5201  1 Fe 1.93
F 0.1876 0.0061 0.9799  1 Fe 1.93
F 0.3124 0.0061 0.4799  1 Fe 1.93
F 0.8124 0.9939 0.0201  1 Fe 1.93

2.
Computed, not measured: Ba2Fe3F10 after structural relaxation at the GGA+U level of DFT.

Computed properties:
The total energy is -5.676 eV per atom. The symmetry is P2_1/c (14).

Cell lengths 6.3158, 8.0914, 18.8736 Å; angles 68.58, 90.00, 90.00 degrees
With the nearest neighbours (Å) after each atom.
Fractional positions:
Ba 0.9945 0.1885 0.2150  7 F 2.65-2.92
Ba 0.4945 0.8115 0.2850  7 F 2.65-2.92
Ba 0.0055 0.8115 0.7850  7 F 2.65-2.92
Ba 0.5055 0.1885 0.7150  7 F 2.65-2.92
Ba 0.0136 0.7825 0.1133  10 F 2.75-2.96
Ba 0.5136 0.2175 0.3867  10 F 2.75-2.96
Ba 0.9864 0.2175 0.8867  10 F 2.75-2.96
Ba 0.4864 0.7825 0.6133  10 F 2.75-2.96
Fe 0.7562 0.5066 0.9992  6 F 2.05-2.13
Fe 0.2562 0.4934 0.5008  6 F 2.05-2.13
Fe 0.2438 0.4934 0.0008  6 F 2.05-2.13
Fe 0.7438 0.5066 0.4992  6 F 2.05-2.13
Fe 0.0041 0.5148 0.3219  6 F 2.00-2.16
Fe 0.5041 0.4852 0.1781  6 F 2.00-2.16
Fe 0.9959 0.4852 0.6781  6 F 2.00-2.16
Fe 0.4959 0.5148 0.8219  6 F 2.00-2.16
Fe 0.0037 0.9579 0.4227  6 F 2.01-2.23
Fe 0.5037 0.0421 0.0773  6 F 2.01-2.23
Fe 0.9963 0.0421 0.5773  6 F 2.01-2.23
Fe 0.4963 0.9579 0.9227  6 F 2.01-2.23
F 0.2500 0.4451 0.2585  2 Fe 2.15-2.16
F 0.7500 0.5549 0.2415  2 Fe 2.15-2.16
F 0.7500 0.5549 0.7415  2 Fe 2.15-2.16
F 0.2500 0.4451 0.7585  2 Fe 2.15-2.16
F 0.2792 0.0138 0.9932  2 Fe 2.07-2.20
F 0.7792 0.9862 0.5068  2 Fe 2.07-2.20
F 0.7208 0.9862 0.0068  2 Fe 2.07-2.20
F 0.2208 0.0138 0.4932  2 Fe 2.07-2.20
F 0.0716 0.7696 0.2623  1 Fe 2.00
F 0.5716 0.2304 0.2377  1 Fe 2.00
F 0.9284 0.2304 0.7377  1 Fe 2.00
F 0.4284 0.7696 0.7623  1 Fe 2.00
F 0.9931 0.3106 0.0166  2 Fe 2.11-2.12
F 0.4931 0.6894 0.4834  2 Fe 2.11-2.12
F 0.0070 0.6828 0.4760  3 Fe 2.08-2.13
F 0.0069 0.6894 0.9834  2 Fe 2.11-2.12
F 0.9470 0.2479 0.3620  2 Fe 2.04-2.23
F 0.4470 0.7521 0.1380  2 Fe 2.04-2.23
F 0.0530 0.7521 0.6380  2 Fe 2.04-2.23
F 0.5530 0.2479 0.8620  2 Fe 2.04-2.23
F 0.2616 0.4673 0.6130  2 Fe 2.05-2.12
F 0.7616 0.5327 0.8870  2 Fe 2.05-2.12
F 0.7384 0.5327 0.3870  2 Fe 2.05-2.12
F 0.2384 0.4673 0.1130  2 Fe 2.05-2.12
F 0.7267 0.4891 0.6104  2 Fe 2.05-2.12
F 0.2267 0.5109 0.8896  2 Fe 2.05-2.12
F 0.2733 0.5109 0.3896  2 Fe 2.05-2.12
F 0.7733 0.4891 0.1104  2 Fe 2.05-2.12
F 0.7284 0.9563 0.8502  1 Fe 2.01
F 0.2284 0.0437 0.6498  1 Fe 2.01
F 0.2716 0.0437 0.1498  1 Fe 2.01
F 0.7716 0.9563 0.3502  1 Fe 2.01
F 0.2524 0.0062 0.8413  1 Fe 2.11
F 0.7524 0.9938 0.6587  1 Fe 2.11
F 0.7476 0.9938 0.1587  1 Fe 2.11
F 0.2476 0.0062 0.3413  1 Fe 2.11
F 0.4930 0.6828 0.9760  3 Fe 2.08-2.13
F 0.9930 0.3172 0.5240  3 Fe 2.08-2.13
F 0.5070 0.3172 0.0240  3 Fe 2.08-2.13
F 0.5069 0.3106 0.5166  2 Fe 2.11-2.12

3.
Computed, not measured: Ba2FeF6 after structural relaxation at the GGA+U level of DFT.

Computed properties:
The total energy is -5.688 eV per atom. The symmetry is I4/mmm (139).

Cell lengths 4.2493, 4.2493, 8.6475 Å; angles 104.22, 104.22, 90.00 degrees
With the nearest neighbours (Å) after each atom.
Fractional positions:
Ba 0.3471 0.3471 0.6943  4 F 2.65
Ba 0.6529 0.6529 0.3057  4 F 2.65
Fe 0.0000 0.0000 0.0000  6 F 1.98-2.12
F 0.1223 0.1223 0.2447  1 Fe 1.98
F 0.8777 0.8777 0.7553  1 Fe 1.98
F 0.2500 0.7500 0.5000  4 Ba 2.65
F 0.7500 0.2500 0.5000  4 Ba 2.65
F 0.0000 0.5000 0.0000  2 Fe 2.12
F 0.5000 0.0000 0.0000  2 Fe 2.12

4.
Computed, not measured: BaFeF5 after structural relaxation at the GGA+U level of DFT.

Computed properties:
The total energy is -5.531 eV per atom. The symmetry is I4 (79).

Cell lengths 11.4579, 11.4579, 11.4579 Å; angles 96.62, 96.62, 140.30 degrees
With the nearest neighbours (Å) after each atom.
Fractional positions:
Ba 0.7729 0.0457 0.8318  8 F 2.60-2.89
Ba 0.0457 0.2140 0.2728  8 F 2.60-2.89
Ba 0.9412 0.7729 0.7272  8 F 2.60-2.89
Ba 0.2140 0.9412 0.1682  8 F 2.60-2.89
Ba 0.4236 0.7379 0.1783  9 F 2.69-2.95
Ba 0.7379 0.5596 0.3143  9 F 2.69-2.95
Ba 0.2453 0.4236 0.6857  9 F 2.69-2.95
Ba 0.5596 0.2453 0.8217  9 F 2.69-2.95
Fe 0.7367 0.7367 0.0000  6 F 1.93-1.96
Fe 0.2406 0.2406 0.0000  6 F 1.93-1.96
Fe 0.9867 0.4867 0.5000  6 F 1.94-1.95
Fe 0.4867 0.9867 0.5000  6 F 1.94-1.95
Fe 0.8100 0.3262 0.1503  6 F 1.94-2.02
Fe 0.3262 0.1758 0.5161  6 F 1.94-2.02
Fe 0.6597 0.8100 0.4839  6 F 1.94-2.02
Fe 0.1758 0.6597 0.8497  6 F 1.94-2.02
F 0.9886 0.9886 0.0000  2 Fe 1.96
F 0.4885 0.4885 0.0000  2 Fe 1.93
F 0.7046 0.8679 0.0753  1 Fe 1.94
F 0.8679 0.7926 0.1633  1 Fe 1.94
F 0.6292 0.7046 0.8367  1 Fe 1.94
F 0.7926 0.6292 0.9247  1 Fe 1.94
F 0.1812 0.3464 0.0715  1 Fe 1.94
F 0.3464 0.2748 0.1651  1 Fe 1.94
F 0.1097 0.1812 0.8349  1 Fe 1.94
F 0.2748 0.1097 0.9285  1 Fe 1.94
F 0.7368 0.2368 0.5000  2 Fe 1.94-1.95
F 0.2368 0.7368 0.5000  2 Fe 1.94-1.95
F 0.8692 0.4334 0.3310  2 Fe 1.95-2.02
F 0.4334 0.1024 0.5642  2 Fe 1.95-2.02
F 0.5382 0.8692 0.4358  2 Fe 1.95-2.02
F 0.1024 0.5382 0.6690  2 Fe 1.95-2.02
F 0.3793 0.9218 0.3237  1 Fe 1.95
F 0.9218 0.5980 0.5424  1 Fe 1.95
F 0.0556 0.3793 0.4576  1 Fe 1.95
F 0.5980 0.0556 0.6763  1 Fe 1.95
F 0.5677 0.2204 0.1367  1 Fe 1.97
F 0.2204 0.0837 0.6527  1 Fe 1.97
F 0.4310 0.5677 0.3473  1 Fe 1.97
F 0.0837 0.4310 0.8633  1 Fe 1.97
F 0.9126 0.5616 0.1428  1 Fe 1.97
F 0.5616 0.4188 0.6489  1 Fe 1.97
F 0.7698 0.9126 0.3511  1 Fe 1.97
F 0.4188 0.7698 0.8572  1 Fe 1.97
F 0.7194 0.1089 0.1859  1 Fe 1.95
F 0.1089 0.9230 0.3895  1 Fe 1.95
F 0.5335 0.7194 0.6105  1 Fe 1.95
F 0.9230 0.5335 0.8141  1 Fe 1.95
F 0.0624 0.4504 0.1903  1 Fe 1.95
F 0.4504 0.2601 0.3880  1 Fe 1.95
F 0.8721 0.0624 0.6120  1 Fe 1.95
F 0.2601 0.8721 0.8097  1 Fe 1.95
F 0.7395 0.2254 0.9729  1 Fe 1.94
F 0.2254 0.2525 0.4858  1 Fe 1.94
F 0.7667 0.7395 0.5142  1 Fe 1.94
F 0.2525 0.7667 0.0271  1 Fe 1.94

no.,formation energy from the elements (eV/atom)
1,-3.344
2,-3.209
3,-3.603
4,-3.332